(1)
# Hf2Te3

A geometry-optimized Hf2Te3 structure (r²SCAN, the Materials Project database).

Output
- formation enthalpy at 0 K (eV per atom) = -0.900
- raw total energy (Ry per atom) = -2.514
- SG = R-3, No. 148
- size of the total moment (μB/atom) = 0.00

a b c (Å): 7.738 7.738 7.738
angles (deg): 53.83 53.83 53.83
Fractional coordinates of all 10 atoms:
Hf  0.000  0.000  0.000
Hf  0.160  0.160  0.160
Hf  0.500  0.500  0.500
Hf  0.840  0.840  0.840
Te  0.078  0.735  0.426
Te  0.265  0.574  0.922
Te  0.426  0.078  0.735
Te  0.574  0.922  0.265
Te  0.735  0.426  0.078
Te  0.922  0.265  0.574

=====

(2)
# Hf2Te

A geometry-optimized Hf2Te structure (r²SCAN, the Materials Project database).

Output
- formation enthalpy at 0 K (eV per atom) = -0.563
- raw total energy (Ry per atom) = -2.876
- SG = C2/m, No. 12
- size of the total moment (μB/atom) = 0.00

a b c (Å): 7.846 7.846 10.087
angles (deg): 90.34 90.34 27.60
Fractional coordinates of all 12 atoms:
Hf  0.088  0.088  0.425
Hf  0.221  0.221  0.127
Hf  0.250  0.250  0.616
Hf  0.410  0.410  0.342
Hf  0.590  0.590  0.658
Hf  0.750  0.750  0.384
Hf  0.779  0.779  0.873
Hf  0.912  0.912  0.575
Te  0.133  0.133  0.870
Te  0.416  0.416  0.800
Te  0.584  0.584  0.200
Te  0.867  0.867  0.130